Below is crystalline HfPt4 at its relaxed geometry, with properties calculated at the PBE level.

Calculated values
- E (eV/cell) = -154.4
- symmetry = P4/mmm

Lattice parameters (Å, degrees): 4.0167 4.0167 20.1780 90.00 90.00 90.00
Atoms (fractional coordinates):
1 Hf 0.0000 0.0000 0.1966
2 Hf 0.0000 0.0000 0.3994
3 Hf 0.0000 0.0000 0.6006
4 Hf 0.0000 0.0000 0.8034
5 Pt 0.5000 0.5000 0.0000
6 Pt 0.5000 0.5000 0.2004
7 Pt 0.5000 0.5000 0.4002
8 Pt 0.5000 0.5000 0.5998
9 Pt 0.5000 0.5000 0.7996
10 Pt 0.5000 0.0000 0.1014
11 Pt 0.5000 0.0000 0.3004
12 Pt 0.5000 0.0000 0.5000
13 Pt 0.5000 0.0000 0.6996
14 Pt 0.5000 0.0000 0.8986
15 Pt 0.0000 0.5000 0.1014
16 Pt 0.0000 0.5000 0.3004
17 Pt 0.0000 0.5000 0.5000
18 Pt 0.0000 0.5000 0.6996
19 Pt 0.0000 0.5000 0.8986
20 Pt 0.0000 0.0000 0.0000